i:
## Si (GGA-PBE)

Data for Si after structural relaxation.

Calculated values
space-group type = I4/mmm, No. 139
calculated density = 2.16 g/cm3
volume = 173 Å³ per cell

abc: 6.6901 6.6901 3.8621
angles: 90.00 90.00 90.00
Element x y z (fractional)
Si  0.1786  0.1786  0.0000
Si  0.1786  0.8214  0.0000
Si  0.3214  0.3214  0.5000
Si  0.3214  0.6786  0.5000
Si  0.6786  0.3214  0.5000
Si  0.6786  0.6786  0.5000
Si  0.8214  0.1786  0.0000
Si  0.8214  0.8214  0.0000

***

ii:
## Si (GGA-PBE)

Data for Si after structural relaxation.

Calculated values
space-group type = Cmce, No. 64
calculated density = 3.19 g/cm3
volume = 234 Å³ per cell

abc: 8.7504 5.1547 5.1831
angles: 90.00 90.00 90.00
Element x y z (fractional)
Si  0.0000  0.1556  0.1741
Si  0.0000  0.3444  0.6741
Si  0.0000  0.6556  0.3259
Si  0.0000  0.8444  0.8259
Si  0.2057  0.0000  0.5000
Si  0.2057  0.5000  0.0000
Si  0.2943  0.0000  0.0000
Si  0.2943  0.5000  0.5000
Si  0.5000  0.1556  0.3259
Si  0.5000  0.3444  0.8259
Si  0.5000  0.6556  0.1741
Si  0.5000  0.8444  0.6741
Si  0.7057  0.0000  0.0000
Si  0.7057  0.5000  0.5000
Si  0.7943  0.0000  0.5000
Si  0.7943  0.5000  0.0000

***

Which of them is the most stable? Correct choice: i.

***

i:
## Si (GGA-PBE)

Data for Si after structural relaxation.

Calculated values
space-group type = P-3m1, No. 164
calculated density = 1.93 g/cm3
volume = 1401 Å³ per cell

abc: 10.0184 10.0184 16.1168
angles: 90.00 90.00 120.00
Element x y z (fractional)
Si  0.0006  0.2448  0.3263
Si  0.0010  0.3804  0.7953
Si  0.0010  0.6206  0.7953
Si  0.0006  0.7559  0.3263
Si  0.0876  0.4212  0.4419
Si  0.0876  0.6665  0.4419
Si  0.1334  0.2668  0.0005
Si  0.1334  0.8666  0.0005
Si  0.2085  0.4170  0.1230
Si  0.2087  0.4174  0.8784
Si  0.2085  0.7915  0.1230
Si  0.2087  0.7913  0.8784
Si  0.2441  0.2448  0.3263
Si  0.2441  0.9994  0.3263
Si  0.2448  0.0006  0.6737
Si  0.2448  0.2441  0.6737
Si  0.2668  0.1334  0.9995
Si  0.3333  0.6667  0.0729
Si  0.3333  0.6667  0.9286
Si  0.3335  0.4212  0.4419
Si  0.3335  0.9124  0.4419
Si  0.3794  0.3804  0.7953
Si  0.3794  0.9990  0.7953
Si  0.3804  0.0010  0.2047
Si  0.3804  0.3794  0.2047
Si  0.4174  0.2087  0.1216
Si  0.4170  0.2085  0.8770
Si  0.4212  0.0876  0.5581
Si  0.4212  0.3335  0.5581
Si  0.5788  0.6665  0.4419
Si  0.5788  0.9124  0.4419
Si  0.5830  0.7915  0.1230
Si  0.5826  0.7913  0.8784
Si  0.6196  0.6206  0.7953
Si  0.6196  0.9990  0.7953
Si  0.6206  0.0010  0.2047
Si  0.6206  0.6196  0.2047
Si  0.6665  0.0876  0.5581
Si  0.6665  0.5788  0.5581
Si  0.6667  0.3333  0.0714
Si  0.6667  0.3333  0.9271
Si  0.7332  0.8666  0.0005
Si  0.7552  0.7559  0.3263
Si  0.7552  0.9994  0.3263
Si  0.7559  0.0006  0.6737
Si  0.7559  0.7552  0.6737
Si  0.7913  0.2087  0.1216
Si  0.7915  0.2085  0.8770
Si  0.7913  0.5826  0.1216
Si  0.7915  0.5830  0.8770
Si  0.8666  0.1334  0.9995
Si  0.8666  0.7332  0.9995
Si  0.9124  0.3335  0.5581
Si  0.9124  0.5788  0.5581
Si  0.9994  0.2441  0.6737
Si  0.9990  0.3794  0.2047
Si  0.9990  0.6196  0.2047
Si  0.9994  0.7552  0.6737

***

ii:
## Si (GGA-PBE)

Data for Si after structural relaxation.

Calculated values
space-group type = R-3, No. 148
calculated density = 2.55 g/cm3
volume = 146 Å³ per cell

abc: 5.7708 5.7708 5.7708
angles: 109.81 109.81 109.81
Element x y z (fractional)
Si  0.0202  0.2166  0.5184
Si  0.2131  0.2131  0.2131
Si  0.2166  0.5184  0.0202
Si  0.4816  0.9798  0.7834
Si  0.5184  0.0202  0.2166
Si  0.7834  0.4816  0.9798
Si  0.7869  0.7869  0.7869
Si  0.9798  0.7834  0.4816

***

Which of them is the most stable? Correct choice: i.

***

i:
## Nb2Bi2PbO9 (GGA-PBE)

Data for Nb2Bi2PbO9 after structural relaxation.

Calculated values
space-group type = Cmc2_1, No. 36
calculated density = 7.75 g/cm3
volume = 409 Å³ per cell

abc: 12.9955 12.9955 5.7005
angles: 90.00 90.00 25.14
Element x y z (fractional)
Nb  0.1636  0.6664  0.5000
Nb  0.3336  0.8364  0.5000
Nb  0.6664  0.1636  0.0000
Nb  0.8364  0.3336  0.0000
Bi  0.0839  0.5147  0.9210
Bi  0.4853  0.9161  0.9210
Bi  0.5147  0.0839  0.4210
Bi  0.9161  0.4853  0.4210
Pb  0.2456  0.7544  0.9775
Pb  0.7544  0.2456  0.4775
O  0.0565  0.1192  0.3105
O  0.1192  0.0565  0.8105
O  0.1636  0.5211  0.5401
O  0.2006  0.7994  0.5476
O  0.2309  0.2660  0.2115
O  0.2660  0.2309  0.7115
O  0.4057  0.4545  0.2600
O  0.4545  0.4057  0.7600
O  0.4789  0.8364  0.5401
O  0.5211  0.1636  0.0401
O  0.5455  0.5943  0.2600
O  0.5943  0.5455  0.7600
O  0.7340  0.7691  0.2115
O  0.7691  0.7340  0.7115
O  0.7994  0.2006  0.0476
O  0.8364  0.4789  0.0401
O  0.8808  0.9435  0.3105
O  0.9435  0.8808  0.8105

***

ii:
## Nb2Bi2PbO9 (GGA-PBE)

Data for Nb2Bi2PbO9 after structural relaxation.

Calculated values
space-group type = I4/mmm, No. 139
calculated density = 8.03 g/cm3
volume = 197 Å³ per cell

abc: 12.8688 12.8688 12.8688
angles: 162.28 162.28 25.17
Element x y z (fractional)
Nb  0.0877  0.0877  0.0000
Nb  0.9123  0.9123  0.0000
Bi  0.2989  0.2989  0.0000
Bi  0.7011  0.7011  0.0000
Pb  0.5000  0.5000  0.0000
O  0.0000  0.0000  0.0000
O  0.0799  0.5799  0.5000
O  0.1634  0.1634  0.0000
O  0.2500  0.7500  0.5000
O  0.4201  0.9201  0.5000
O  0.5799  0.0799  0.5000
O  0.7500  0.2500  0.5000
O  0.8366  0.8366  0.0000
O  0.9201  0.4201  0.5000

***

Which of them is the most stable? Correct choice: i.